Entry 1:
A plane-wave DFT calculation with PBE-GGA was carried out for crystalline As3Pb5O12F at its relaxed geometry.

Cell lengths 10.3037, 10.3037, 7.6067 Å; angles 90.00, 90.00, 120.00 degrees
Atoms (fractional coordinates):
As: 0.0276 0.6293 0.2500
As: 0.3707 0.3983 0.2500
As: 0.3983 0.0276 0.7500
As: 0.6017 0.9724 0.2500
As: 0.6293 0.6017 0.7500
As: 0.9724 0.3707 0.7500
Pb: 0.0025 0.2459 0.2500
Pb: 0.2434 0.9975 0.2500
Pb: 0.2459 0.2434 0.7500
Pb: 0.3333 0.6667 0.5027
Pb: 0.3333 0.6667 0.9973
Pb: 0.6667 0.3333 0.0027
Pb: 0.6667 0.3333 0.4973
Pb: 0.7541 0.7566 0.2500
Pb: 0.7566 0.0025 0.7500
Pb: 0.9975 0.7541 0.7500
O: 0.0899 0.7477 0.0700
O: 0.0899 0.7477 0.4300
O: 0.1219 0.5284 0.2500
O: 0.1639 0.4900 0.7500
O: 0.2523 0.3422 0.0700
O: 0.2523 0.3422 0.4300
O: 0.3261 0.8361 0.7500
O: 0.3422 0.0899 0.5700
O: 0.3422 0.0899 0.9300
O: 0.4065 0.8781 0.2500
O: 0.4716 0.5935 0.2500
O: 0.4900 0.3261 0.2500
O: 0.5100 0.6739 0.7500
O: 0.5284 0.4065 0.7500
O: 0.5935 0.1219 0.7500
O: 0.6578 0.9101 0.0700
O: 0.6578 0.9101 0.4300
O: 0.6739 0.1639 0.2500
O: 0.7477 0.6578 0.5700
O: 0.7477 0.6578 0.9300
O: 0.8361 0.5100 0.2500
O: 0.8781 0.4716 0.7500
O: 0.9101 0.2523 0.5700
O: 0.9101 0.2523 0.9300
F: 0.0000 0.0000 0.2500
F: 0.0000 0.0000 0.7500

Results
Calculated density in g cm⁻³: 7.0
Energy of formation in eV per atom: -1.8258
Total magnetization in μB per formula unit: 0.00
SG: No. 176


Entry 2:
A plane-wave DFT calculation with PBE-GGA was carried out for crystalline RbAsOF4 at its relaxed geometry.

Cell lengths 5.5029, 6.1082, 15.0271 Å; angles 90.00, 109.42, 90.00 degrees
Atoms (fractional coordinates):
Rb: 0.1506 0.1268 0.1490
Rb: 0.1506 0.3732 0.6490
Rb: 0.8494 0.6268 0.3510
Rb: 0.8494 0.8732 0.8510
As: 0.4801 0.1134 0.4202
As: 0.4801 0.3866 0.9202
As: 0.5199 0.6134 0.0798
As: 0.5199 0.8866 0.5798
O: 0.3205 0.1068 0.5092
O: 0.3205 0.3932 0.0092
O: 0.6795 0.6068 0.9908
O: 0.6795 0.8932 0.4908
F: 0.2551 0.5775 0.8421
F: 0.2551 0.9225 0.3421
F: 0.2748 0.1741 0.8531
F: 0.2748 0.3259 0.3531
F: 0.2966 0.6733 0.5218
F: 0.2966 0.8267 0.0218
F: 0.3527 0.6035 0.1644
F: 0.3527 0.8965 0.6644
F: 0.6473 0.1035 0.3356
F: 0.6473 0.3965 0.8356
F: 0.7034 0.1733 0.9782
F: 0.7034 0.3267 0.4782
F: 0.7252 0.6741 0.6469
F: 0.7252 0.8259 0.1469
F: 0.7449 0.0775 0.6579
F: 0.7449 0.4225 0.1579

Results
Calculated density in g cm⁻³: 3.5
Energy of formation in eV per atom: -2.5871
Total magnetization in μB per formula unit: 0.00
SG: No. 14


Entry 3:
A plane-wave DFT calculation with PBE-GGA was carried out for crystalline RbAsOF5 at its relaxed geometry.

Cell lengths 11.7514, 9.9095, 9.6445 Å; angles 90.00, 90.00, 90.00 degrees
Atoms (fractional coordinates):
Rb: 0.1654 0.0014 0.2313
Rb: 0.1654 0.4986 0.2313
Rb: 0.3346 0.5014 0.7313
Rb: 0.3346 0.9986 0.7313
Rb: 0.6654 0.0014 0.2687
Rb: 0.6654 0.4986 0.2687
Rb: 0.8346 0.5014 0.7687
Rb: 0.8346 0.9986 0.7687
As: 0.0976 0.2500 0.5636
As: 0.1010 0.2500 0.9066
As: 0.3990 0.7500 0.4066
As: 0.4024 0.7500 0.0636
As: 0.5976 0.2500 0.9364
As: 0.6010 0.2500 0.5934
As: 0.8990 0.7500 0.0934
As: 0.9024 0.7500 0.4364
O: 0.1542 0.7500 0.7500
O: 0.1615 0.2500 0.7341
O: 0.3385 0.7500 0.2341
O: 0.3458 0.2500 0.2500
O: 0.6542 0.7500 0.7500
O: 0.6615 0.2500 0.7659
O: 0.8385 0.7500 0.2659
O: 0.8458 0.2500 0.2500
F: 0.0034 0.6219 0.3992
F: 0.0034 0.8781 0.3992
F: 0.0456 0.7500 0.1429
F: 0.0503 0.2500 0.3867
F: 0.0573 0.2500 0.0853
F: 0.0988 0.0694 0.9111
F: 0.0988 0.4306 0.9111
F: 0.1981 0.1220 0.5134
F: 0.1981 0.3780 0.5134
F: 0.2442 0.2500 0.9698
F: 0.2558 0.7500 0.4698
F: 0.3019 0.6220 0.0134
F: 0.3019 0.8780 0.0134
F: 0.4012 0.5694 0.4111
F: 0.4012 0.9306 0.4111
F: 0.4427 0.7500 0.5853
F: 0.4497 0.7500 0.8867
F: 0.4544 0.2500 0.6429
F: 0.4966 0.1219 0.8992
F: 0.4966 0.3781 0.8992
F: 0.5034 0.6219 0.1008
F: 0.5034 0.8781 0.1008
F: 0.5456 0.7500 0.3571
F: 0.5503 0.2500 0.1133
F: 0.5573 0.2500 0.4147
F: 0.5988 0.0694 0.5889
F: 0.5988 0.4306 0.5889
F: 0.6981 0.1220 0.9866
F: 0.6981 0.3780 0.9866
F: 0.7442 0.2500 0.5302
F: 0.7558 0.7500 0.0302
F: 0.8019 0.6220 0.4866
F: 0.8019 0.8780 0.4866
F: 0.9012 0.5694 0.0889
F: 0.9012 0.9306 0.0889
F: 0.9427 0.7500 0.9147
F: 0.9497 0.7500 0.6133
F: 0.9544 0.2500 0.8571
F: 0.9966 0.1219 0.6008
F: 0.9966 0.3781 0.6008

Results
Calculated density in g cm⁻³: 3.2
Energy of formation in eV per atom: -2.3594
Total magnetization in μB per formula unit: 1.00
SG: No. 62


Entry 4:
A plane-wave DFT calculation with PBE-GGA was carried out for crystalline RbScAsO4F at its relaxed geometry.

Cell lengths 13.9149, 6.8972, 11.4232 Å; angles 90.00, 90.00, 90.00 degrees
Atoms (fractional coordinates):
Rb: 0.1067 0.2007 0.0000
Rb: 0.1237 0.7732 0.7409
Rb: 0.3763 0.2732 0.2409
Rb: 0.3933 0.7007 0.5000
Rb: 0.6067 0.2993 0.0000
Rb: 0.6237 0.7268 0.7409
Rb: 0.8763 0.2268 0.2409
Rb: 0.8933 0.7993 0.5000
Sc: 0.1118 0.4947 0.4381
Sc: 0.2458 0.7515 0.1872
Sc: 0.2542 0.2515 0.6872
Sc: 0.3882 0.9947 0.9381
Sc: 0.6118 0.0053 0.4381
Sc: 0.7458 0.7485 0.1872
Sc: 0.7542 0.2485 0.6872
Sc: 0.8882 0.5053 0.9381
As: 0.0015 0.3242 0.6896
As: 0.1821 0.9983 0.4410
As: 0.3179 0.4983 0.9410
As: 0.4985 0.8242 0.1896
As: 0.5015 0.1758 0.6896
As: 0.6821 0.5017 0.4410
As: 0.8179 0.0017 0.9410
As: 0.9985 0.6758 0.1896
O: 0.0098 0.5327 0.3126
O: 0.0161 0.4856 0.5761
O: 0.0984 0.8164 0.1681
O: 0.1030 0.1864 0.7084
O: 0.1125 0.1977 0.4130
O: 0.1115 0.8004 0.4718
O: 0.2430 0.4527 0.8241
O: 0.2435 0.5345 0.0601
O: 0.2565 0.0345 0.5601
O: 0.2570 0.9527 0.3241
O: 0.3885 0.3004 0.9718
O: 0.3875 0.6977 0.9130
O: 0.3970 0.6864 0.2084
O: 0.4016 0.3164 0.6681
O: 0.4839 0.9856 0.0761
O: 0.4902 0.0327 0.8126
O: 0.5098 0.9673 0.3126
O: 0.5161 0.0144 0.5761
O: 0.5984 0.6836 0.1681
O: 0.6030 0.3136 0.7084
O: 0.6125 0.3023 0.4130
O: 0.6115 0.6996 0.4718
O: 0.7430 0.0473 0.8241
O: 0.7435 0.9655 0.0601
O: 0.7565 0.4655 0.5601
O: 0.7570 0.5473 0.3241
O: 0.8885 0.1996 0.9718
O: 0.8875 0.8023 0.9130
O: 0.8970 0.8136 0.2084
O: 0.9016 0.1836 0.6681
O: 0.9839 0.5144 0.0761
O: 0.9902 0.4673 0.8126
F: 0.2239 0.5396 0.3159
F: 0.2247 0.4661 0.5654
F: 0.2753 0.9661 0.0654
F: 0.2761 0.0396 0.8159
F: 0.7239 0.9604 0.3159
F: 0.7247 0.0339 0.5654
F: 0.7753 0.5339 0.0654
F: 0.7761 0.4604 0.8159

Results
Calculated density in g cm⁻³: 3.5
Energy of formation in eV per atom: -2.8366
Total magnetization in μB per formula unit: 0.00
SG: No. 33


Entry 5:
A plane-wave DFT calculation with PBE-GGA was carried out for crystalline AsSOF9 at its relaxed geometry.

Cell lengths 11.1749, 7.4540, 8.7043 Å; angles 90.00, 90.00, 90.00 degrees
Atoms (fractional coordinates):
As: 0.0131 0.2500 0.2075
As: 0.4869 0.7500 0.7075
As: 0.5131 0.2500 0.2925
As: 0.9869 0.7500 0.7925
S: 0.1959 0.7500 0.3340
S: 0.3041 0.2500 0.8340
S: 0.6959 0.7500 0.1660
S: 0.8041 0.2500 0.6660
O: 0.2312 0.2500 0.7047
O: 0.2688 0.7500 0.2047
O: 0.7312 0.2500 0.7953
O: 0.7688 0.7500 0.2953
F: 0.0043 0.7500 0.9938
F: 0.0355 0.2500 0.4103
F: 0.0630 0.7500 0.3088
F: 0.0967 0.5811 0.7712
F: 0.0967 0.9189 0.7712
F: 0.1264 0.0821 0.1897
F: 0.1264 0.4179 0.1897
F: 0.2107 0.5955 0.4440
F: 0.2107 0.9045 0.4440
F: 0.2893 0.0955 0.9440
F: 0.2893 0.4045 0.9440
F: 0.3736 0.5821 0.6897
F: 0.3736 0.9179 0.6897
F: 0.4033 0.0811 0.2712
F: 0.4033 0.4189 0.2712
F: 0.4370 0.2500 0.8088
F: 0.4645 0.7500 0.9103
F: 0.4957 0.2500 0.4938
F: 0.5043 0.7500 0.5062
F: 0.5355 0.2500 0.0897
F: 0.5630 0.7500 0.1912
F: 0.5967 0.5811 0.7288
F: 0.5967 0.9189 0.7288
F: 0.6264 0.0821 0.3103
F: 0.6264 0.4179 0.3103
F: 0.7107 0.5955 0.0560
F: 0.7107 0.9045 0.0560
F: 0.7893 0.0955 0.5560
F: 0.7893 0.4045 0.5560
F: 0.8736 0.5821 0.8103
F: 0.8736 0.9179 0.8103
F: 0.9033 0.0811 0.2288
F: 0.9033 0.4189 0.2288
F: 0.9370 0.2500 0.6912
F: 0.9645 0.7500 0.5897
F: 0.9957 0.2500 0.0062

Results
Calculated density in g cm⁻³: 2.7
Energy of formation in eV per atom: -2.1757
Total magnetization in μB per formula unit: 0.00
SG: No. 62


Entry 6:
A plane-wave DFT calculation with PBE-GGA was carried out for crystalline Te2As2Se8SO2F12 at its relaxed geometry.

Cell lengths 7.4845, 8.8293, 36.8433 Å; angles 90.00, 91.58, 90.00 degrees
Atoms (fractional coordinates):
Te: 0.1525 0.0384 0.3144
Te: 0.1525 0.4616 0.8144
Te: 0.3036 0.1706 0.9274
Te: 0.3036 0.3294 0.4274
Te: 0.6964 0.6706 0.5726
Te: 0.6964 0.8294 0.0726
Te: 0.8475 0.5384 0.1856
Te: 0.8475 0.9616 0.6856
As: 0.2237 0.1212 0.0456
As: 0.2237 0.3788 0.5456
As: 0.3953 0.2431 0.7074
As: 0.3953 0.2569 0.2074
As: 0.6047 0.7431 0.7926
As: 0.6047 0.7569 0.2926
As: 0.7763 0.6212 0.4544
As: 0.7763 0.8788 0.9544
Se: 0.0082 0.7275 0.0978
Se: 0.0082 0.7725 0.5978
Se: 0.0606 0.5826 0.3538
Se: 0.0606 0.9174 0.8538
Se: 0.0618 0.5115 0.8812
Se: 0.0618 0.9885 0.3812
Se: 0.0789 0.7468 0.7017
Se: 0.0789 0.7532 0.2017
Se: 0.1022 0.0347 0.7962
Se: 0.1022 0.4653 0.2962
Se: 0.3379 0.5574 0.3829
Se: 0.3379 0.9426 0.8829
Se: 0.4278 0.2132 0.3318
Se: 0.4278 0.2868 0.8318
Se: 0.4903 0.1335 0.3903
Se: 0.4903 0.3665 0.8903
Se: 0.5097 0.6335 0.1097
Se: 0.5097 0.8665 0.6097
Se: 0.5722 0.7132 0.1682
Se: 0.5722 0.7868 0.6682
Se: 0.6621 0.0574 0.1171
Se: 0.6621 0.4426 0.6171
Se: 0.8978 0.5347 0.7038
Se: 0.8978 0.9653 0.2038
Se: 0.9211 0.2468 0.7983
Se: 0.9211 0.2532 0.2983
Se: 0.9382 0.0115 0.6188
Se: 0.9382 0.4885 0.1188
Se: 0.9394 0.0826 0.1462
Se: 0.9394 0.4174 0.6462
Se: 0.9918 0.2275 0.4022
Se: 0.9918 0.2725 0.9022
S: 0.2702 0.6477 0.9918
S: 0.2702 0.8523 0.4918
S: 0.7298 0.1477 0.5082
S: 0.7298 0.3523 0.0082
O: 0.2441 0.5222 0.9668
O: 0.2441 0.9778 0.4668
O: 0.3598 0.6153 0.0264
O: 0.3598 0.8847 0.5264
O: 0.6402 0.1153 0.4736
O: 0.6402 0.3847 0.9736
O: 0.7559 0.0222 0.5332
O: 0.7559 0.4778 0.0332
F: 0.0093 0.0439 0.0554
F: 0.0093 0.4561 0.5554
F: 0.1272 0.2405 0.0118
F: 0.1272 0.2595 0.5118
F: 0.1779 0.1720 0.6950
F: 0.1779 0.3280 0.1950
F: 0.1920 0.2382 0.5791
F: 0.1920 0.2618 0.0791
F: 0.2558 0.5211 0.5128
F: 0.2558 0.9789 0.0128
F: 0.3089 0.1891 0.2492
F: 0.3089 0.3109 0.7492
F: 0.3204 0.5026 0.5796
F: 0.3204 0.9974 0.0796
F: 0.3405 0.0816 0.1866
F: 0.3405 0.4184 0.6866
F: 0.3885 0.6896 0.2801
F: 0.3885 0.8104 0.7801
F: 0.4401 0.1942 0.0376
F: 0.4401 0.3058 0.5376
F: 0.4461 0.0680 0.7283
F: 0.4461 0.4320 0.2283
F: 0.4797 0.1757 0.6656
F: 0.4797 0.3243 0.1656
F: 0.5203 0.6757 0.8344
F: 0.5203 0.8243 0.3344
F: 0.5539 0.5680 0.7717
F: 0.5539 0.9320 0.2717
F: 0.5599 0.6942 0.4624
F: 0.5599 0.8058 0.9624
F: 0.6115 0.1896 0.2199
F: 0.6115 0.3104 0.7199
F: 0.6595 0.5816 0.3134
F: 0.6595 0.9184 0.8134
F: 0.6796 0.0026 0.9204
F: 0.6796 0.4974 0.4204
F: 0.6911 0.6891 0.2508
F: 0.6911 0.8109 0.7508
F: 0.7442 0.0211 0.9872
F: 0.7442 0.4789 0.4872
F: 0.8080 0.7382 0.9209
F: 0.8080 0.7618 0.4209
F: 0.8221 0.6720 0.8050
F: 0.8221 0.8280 0.3050
F: 0.8728 0.7405 0.4882
F: 0.8728 0.7595 0.9882
F: 0.9907 0.5439 0.4446
F: 0.9907 0.9561 0.9446

Results
Calculated density in g cm⁻³: 3.6
Energy of formation in eV per atom: -1.5162
Total magnetization in μB per formula unit: 0.02
SG: No. 14